1.
SrO10 | GGA-PBE | relaxed

Cell lengths 6.883, 6.883, 11.783 Å; angles 90.00, 90.00, 90.00 degrees
Atoms (fractional coordinates):
O  0.500  0.000  0.633
O  0.500  0.000  0.881
O  0.753  0.839  0.604
O  0.339  0.253  0.104
O  0.255  0.347  0.600
O  0.000  0.500  0.119
O  0.000  0.500  0.867
Sr  0.500  0.500  0.750
Sr  0.500  0.500  0.250
O  0.500  0.000  0.381
O  0.253  0.339  0.396
O  0.247  0.161  0.604
O  0.000  0.500  0.619
O  0.245  0.153  0.400
O  0.755  0.153  0.900
O  0.255  0.653  0.100
O  0.745  0.653  0.600
O  0.347  0.255  0.900
O  0.661  0.253  0.604
O  0.161  0.753  0.396
O  0.000  0.500  0.367
O  0.153  0.755  0.600
O  0.747  0.339  0.896
O  0.253  0.661  0.896
Sr  0.000  0.000  0.250
O  0.347  0.745  0.400
Sr  0.000  0.000  0.750
O  0.245  0.847  0.900
O  0.653  0.745  0.900
O  0.847  0.245  0.600
O  0.847  0.755  0.100
O  0.339  0.747  0.604
O  0.500  0.000  0.133
O  0.653  0.255  0.400
O  0.247  0.839  0.104
O  0.755  0.847  0.400
O  0.153  0.245  0.100
O  0.161  0.247  0.896
O  0.747  0.661  0.396
O  0.839  0.753  0.896
O  0.839  0.247  0.396
O  0.745  0.347  0.100
O  0.753  0.161  0.104
O  0.661  0.747  0.104

Results
spin magnetization: 0.009 μB per formula unit
energy above the most stable polymorph in this dataset: 39.3 kJ per mole of atoms
E: -51.00 eV/f.u.
space-group type: No. 130
formation energy from the elements: -0.131 eV/atom
volume: 12.7 Å³/atom



2.
Sn3Ru2 | GGA-PBE | relaxed

Cell lengths 6.253, 6.253, 10.031 Å; angles 90.00, 90.00, 90.00 degrees
Atoms (fractional coordinates):
Sn  0.780  0.656  0.584
Sn  0.821  0.821  0.250
Sn  0.821  0.179  0.750
Sn  0.220  0.344  0.584
Ru  0.000  0.500  0.374
Ru  0.500  0.500  0.750
Sn  0.344  0.780  0.416
Sn  0.179  0.179  0.250
Sn  0.179  0.821  0.750
Sn  0.656  0.780  0.916
Sn  0.780  0.344  0.084
Sn  0.220  0.656  0.084
Ru  0.500  0.000  0.126
Sn  0.656  0.220  0.416
Ru  0.000  0.000  0.000
Ru  0.500  0.500  0.250
Ru  0.000  0.500  0.874
Ru  0.500  0.000  0.626
Ru  0.000  0.000  0.500
Sn  0.344  0.220  0.916

Results
E: -31.47 eV/f.u.
space-group type: No. 116
formation energy from the elements: -0.179 eV/atom
volume: 19.6 Å³/atom



3.
CeNd3Si8 | GGA-PBE | relaxed

Cell lengths 4.126, 4.147, 14.327 Å; angles 90.00, 90.00, 90.00 degrees
Atoms (fractional coordinates):
Ce  0.250  0.000  0.376
Nd  0.250  0.500  0.124
Si  0.750  0.000  0.210
Si  0.750  0.000  0.044
Si  0.250  0.000  0.958
Si  0.250  0.500  0.708
Si  0.750  0.500  0.456
Si  0.250  0.000  0.791
Si  0.250  0.500  0.541
Nd  0.750  0.000  0.624
Si  0.750  0.500  0.292
Nd  0.750  0.500  0.876

Results
spin magnetization: 0.097 μB per formula unit
E: -71.00 eV/f.u.
space-group type: No. 25
formation energy from the elements: -0.566 eV/atom
volume: 20.4 Å³/atom



- Which of these has the lowest formation energy from the elements?
  CeNd3Si8



Copy entry 1 word for word.
SrO10 | GGA-PBE | relaxed

Cell lengths 6.883, 6.883, 11.783 Å; angles 90.00, 90.00, 90.00 degrees
Atoms (fractional coordinates):
O  0.500  0.000  0.633
O  0.500  0.000  0.881
O  0.753  0.839  0.604
O  0.339  0.253  0.104
O  0.255  0.347  0.600
O  0.000  0.500  0.119
O  0.000  0.500  0.867
Sr  0.500  0.500  0.750
Sr  0.500  0.500  0.250
O  0.500  0.000  0.381
O  0.253  0.339  0.396
O  0.247  0.161  0.604
O  0.000  0.500  0.619
O  0.245  0.153  0.400
O  0.755  0.153  0.900
O  0.255  0.653  0.100
O  0.745  0.653  0.600
O  0.347  0.255  0.900
O  0.661  0.253  0.604
O  0.161  0.753  0.396
O  0.000  0.500  0.367
O  0.153  0.755  0.600
O  0.747  0.339  0.896
O  0.253  0.661  0.896
Sr  0.000  0.000  0.250
O  0.347  0.745  0.400
Sr  0.000  0.000  0.750
O  0.245  0.847  0.900
O  0.653  0.745  0.900
O  0.847  0.245  0.600
O  0.847  0.755  0.100
O  0.339  0.747  0.604
O  0.500  0.000  0.133
O  0.653  0.255  0.400
O  0.247  0.839  0.104
O  0.755  0.847  0.400
O  0.153  0.245  0.100
O  0.161  0.247  0.896
O  0.747  0.661  0.396
O  0.839  0.753  0.896
O  0.839  0.247  0.396
O  0.745  0.347  0.100
O  0.753  0.161  0.104
O  0.661  0.747  0.104

Results
spin magnetization: 0.009 μB per formula unit
energy above the most stable polymorph in this dataset: 39.3 kJ per mole of atoms
E: -51.00 eV/f.u.
space-group type: No. 130
formation energy from the elements: -0.131 eV/atom
volume: 12.7 Å³/atom